An optimized crystal structure of K2LiBiF6. Source: the Materials Project, functional PBE-GGA.

abc: 6.1668 6.1668 6.1668
angles: 60.00 60.00 60.00
Closest atoms and distances in Å follow each position.
Fractional positions:
Li (0.5000, 0.5000, 0.5000)  6 F 2.09
F (0.2598, 0.7402, 0.7402)  1 Li 2.09, 1 Bi 2.27
Bi (0.0000, 0.0000, 0.0000)  6 F 2.27
F (0.7402, 0.2598, 0.2598)  1 Li 2.09, 1 Bi 2.27
F (0.7402, 0.7402, 0.2598)  1 Li 2.09, 1 Bi 2.27
K (0.2500, 0.2500, 0.2500)  12 F 3.08
F (0.2598, 0.7402, 0.2598)  1 Li 2.09, 1 Bi 2.27
F (0.7402, 0.2598, 0.7402)  1 Li 2.09, 1 Bi 2.27
K (0.7500, 0.7500, 0.7500)  12 F 3.08
F (0.2598, 0.2598, 0.7402)  1 Li 2.09, 1 Bi 2.27

- formation enthalpy at 0 K (eV per atom) = -2.93
- total energy (eV/cell) = -46.02
- total magnetization (μB per formula unit) = 0.00


An optimized crystal structure of K2NaBiF6. Source: the Materials Project, functional PBE-GGA.

abc: 6.4219 6.4219 6.4219
angles: 60.00 60.00 60.00
Closest atoms and distances in Å follow each position.
Fractional positions:
Bi (0.0000, 0.0000, 0.0000)  6 F 2.26
F (0.2493, 0.7507, 0.2493)  1 Bi 2.26, 1 Na 2.28
K (0.7500, 0.7500, 0.7500)  12 F 3.21
F (0.7507, 0.2493, 0.2493)  1 Bi 2.26, 1 Na 2.28
Na (0.5000, 0.5000, 0.5000)  6 F 2.28
F (0.7507, 0.2493, 0.7507)  1 Bi 2.26, 1 Na 2.28
K (0.2500, 0.2500, 0.2500)  12 F 3.21
F (0.2493, 0.2493, 0.7507)  1 Bi 2.26, 1 Na 2.28
F (0.2493, 0.7507, 0.7507)  1 Bi 2.26, 1 Na 2.28
F (0.7507, 0.7507, 0.2493)  1 Bi 2.26, 1 Na 2.28

- formation enthalpy at 0 K (eV per atom) = -2.90
- total energy (eV/cell) = -45.12
- total magnetization (μB per formula unit) = 0.00


An optimized crystal structure of K2RbBiF6. Source: the Materials Project, functional PBE-GGA.

abc: 6.9592 6.9592 6.9592
angles: 60.00 60.00 60.00
Closest atoms and distances in Å follow each position.
Fractional positions:
F (0.2303, 0.7697, 0.7697)  1 Bi 2.27
Bi (0.0000, 0.0000, 0.0000)  6 F 2.27
Rb (0.5000, 0.5000, 0.5000)  6 F 2.65
F (0.2303, 0.7697, 0.2303)  1 Bi 2.27
F (0.7697, 0.7697, 0.2303)  1 Bi 2.27
K (0.2500, 0.2500, 0.2500)  12 F 3.49
K (0.7500, 0.7500, 0.7500)  12 F 3.49
F (0.7697, 0.2303, 0.2303)  1 Bi 2.27
F (0.2303, 0.2303, 0.7697)  1 Bi 2.27
F (0.7697, 0.2303, 0.7697)  1 Bi 2.27

- formation enthalpy at 0 K (eV per atom) = -2.83
- total energy (eV/cell) = -44.08
- total magnetization (μB per formula unit) = 0.00


An optimized crystal structure of K2TlBiF6. Source: the Materials Project, functional PBE-GGA.

abc: 6.9368 6.9368 6.9368
angles: 60.00 60.00 60.00
Closest atoms and distances in Å follow each position.
Fractional positions:
Bi (0.0000, 0.0000, 0.0000)  6 F 2.27
F (0.7688, 0.2312, 0.7688)  1 Bi 2.27
F (0.2312, 0.2312, 0.7688)  1 Bi 2.27
F (0.7688, 0.7688, 0.2312)  1 Bi 2.27
F (0.2312, 0.7688, 0.7688)  1 Bi 2.27
Tl (0.5000, 0.5000, 0.5000)  6 F 2.64
F (0.7688, 0.2312, 0.2312)  1 Bi 2.27
K (0.7500, 0.7500, 0.7500)  12 F 3.47
F (0.2312, 0.7688, 0.2312)  1 Bi 2.27
K (0.2500, 0.2500, 0.2500)  12 F 3.47

- formation enthalpy at 0 K (eV per atom) = -2.64
- total energy (eV/cell) = -43.56
- total magnetization (μB per formula unit) = 0.01


An optimized crystal structure of La2Bi2S4OF. Source: the Materials Project, functional PBE-GGA.

abc: 4.1096 4.1096 13.1501
angles: 90.00 90.00 90.00
Closest atoms and distances in Å follow each position.
Fractional positions:
O (0.5000, 0.5000, 0.0000)  4 La 2.48
La (0.5000, 0.0000, 0.1060)  2 O 2.48, 2 F 2.48
S (0.5000, 0.0000, 0.3781)  5 Bi 2.91-3.13
S (0.0000, 0.5000, 0.1833)  1 Bi 2.63
S (0.0000, 0.5000, 0.6219)  5 Bi 2.91-3.13
Bi (0.5000, 0.0000, 0.6165)  5 S 2.63-2.91
La (0.0000, 0.5000, 0.8940)  2 F 2.48, 2 O 2.48
S (0.5000, 0.0000, 0.8167)  1 Bi 2.63
Bi (0.0000, 0.5000, 0.3835)  5 S 2.63-2.91
F (0.0000, 0.0000, 0.0000)  4 La 2.48

- formation enthalpy at 0 K (eV per atom) = -2.14
- total energy (eV/cell) = -59.27
- total magnetization (μB per formula unit) = 0.00


An optimized crystal structure of Li2BiF5. Source: the Materials Project, functional PBE-GGA.

abc: 5.6443 5.6443 5.6443
angles: 100.20 100.20 130.22
Closest atoms and distances in Å follow each position.
Fractional positions:
F (0.3097, 0.9472, 0.2569)  2 Li 1.86
F (0.5000, 0.5000, 0.0000)  2 Bi 2.38
F (0.6903, 0.0528, 0.7431)  2 Li 1.86
Li (0.7500, 0.2500, 0.5000)  4 F 1.86
Li (0.2500, 0.7500, 0.5000)  4 F 1.86
F (0.0528, 0.3097, 0.3625)  2 Li 1.86
Bi (0.0000, 0.0000, 0.0000)  6 F 2.27-2.38
F (0.9472, 0.6903, 0.6375)  2 Li 1.86

- formation enthalpy at 0 K (eV per atom) = -2.92
- total energy (eV/cell) = -38.37
- total magnetization (μB per formula unit) = 0.00


An optimized crystal structure of LiBiF2. Source: the Materials Project, functional PBE-GGA.

abc: 6.9079 6.9079 6.9079
angles: 107.68 107.68 113.11
Closest atoms and distances in Å follow each position.
Fractional positions:
F (0.2739, 0.1929, 0.2697)  2 Li 1.92-1.96
Li (0.1250, 0.8750, 0.7500)  4 F 1.92-1.96
Bi (0.6250, 0.8750, 0.2500)  2 F 2.32
F (0.9958, 0.7261, 0.9190)  2 Li 1.92-1.96
Bi (0.6250, 0.3750, 0.7500)  2 F 2.32
F (0.9232, 0.0042, 0.7303)  2 Li 1.92-1.96
F (0.9761, 0.5571, 0.2303)  2 Li 1.92-1.96
Li (0.6250, 0.8750, 0.7500)  4 F 1.92-1.96
Bi (0.6250, 0.3750, 0.2500)  2 F 2.32
F (0.3268, 0.7458, 0.7697)  2 Li 1.92-1.96
Bi (0.1250, 0.3750, 0.7500)  2 F 2.32
F (0.8071, 0.0768, 0.0810)  2 Li 1.92-1.96
Li (0.1250, 0.3750, 0.2500)  4 F 1.92-1.96
F (0.2542, 0.0239, 0.5810)  2 Li 1.92-1.96
F (0.4429, 0.6732, 0.4190)  2 Li 1.92-1.96
Li (0.1250, 0.8750, 0.2500)  4 F 1.92-1.96

- formation enthalpy at 0 K (eV per atom) = -2.19
- total energy (eV/cell) = -69.81
- total magnetization (μB per formula unit) = 0.00


An optimized crystal structure of LiBiF4. Source: the Materials Project, functional PBE-GGA.

abc: 6.8031 6.8031 6.8031
angles: 133.55 133.55 67.79
Closest atoms and distances in Å follow each position.
Fractional positions:
F (0.8312, 0.8928, 0.3839)  1 Li 1.94
F (0.1973, 0.0812, 0.4384)  1 Li 1.94
Li (0.7500, 0.2500, 0.5000)  4 F 1.94
F (0.6428, 0.7589, 0.5616)  1 Li 1.94
Li (0.0000, 0.0000, 0.0000)  4 F 1.94
F (0.5089, 0.4473, 0.6161)  1 Li 1.94
Bi (0.2500, 0.7500, 0.5000)  8 F 2.36-2.42
F (0.5527, 0.1688, 0.0616)  1 Li 1.94
F (0.1072, 0.4911, 0.9384)  1 Li 1.94
F (0.2411, 0.8027, 0.8839)  1 Li 1.94
F (0.9188, 0.3572, 0.1161)  1 Li 1.94
Bi (0.5000, 0.5000, 0.0000)  8 F 2.36-2.42

- formation enthalpy at 0 K (eV per atom) = -2.93
- total energy (eV/cell) = -58.36


An optimized crystal structure of Na2LiBiF6. Source: the Materials Project, functional PBE-GGA.

abc: 6.0422 6.0422 6.0422
angles: 60.00 60.00 60.00
Closest atoms and distances in Å follow each position.
Fractional positions:
F (0.7371, 0.7371, 0.2629)  1 Li 2.03, 1 Bi 2.25
Na (0.7500, 0.7500, 0.7500)  12 F 3.02
Na (0.2500, 0.2500, 0.2500)  12 F 3.02
F (0.7371, 0.2629, 0.2629)  1 Li 2.03, 1 Bi 2.25
Bi (0.0000, 0.0000, 0.0000)  6 F 2.25
F (0.2629, 0.7371, 0.2629)  1 Li 2.03, 1 Bi 2.25
F (0.2629, 0.2629, 0.7371)  1 Li 2.03, 1 Bi 2.25
Li (0.5000, 0.5000, 0.5000)  6 F 2.03
F (0.2629, 0.7371, 0.7371)  1 Li 2.03, 1 Bi 2.25
F (0.7371, 0.2629, 0.7371)  1 Li 2.03, 1 Bi 2.25

- formation enthalpy at 0 K (eV per atom) = -2.77
- total energy (eV/cell) = -44.89
- total magnetization (μB per formula unit) = 0.00


An optimized crystal structure of MgBi2F12. Source: the Materials Project, functional PBE-GGA.

abc: 6.1052 6.1052 7.3972
angles: 90.00 90.00 90.00
Closest atoms and distances in Å follow each position.
Fractional positions:
F (0.0000, 0.5000, 0.9547)  1 Bi 2.01
F (0.7914, 0.2341, 0.1968)  1 Bi 2.08
Bi (0.0000, 0.5000, 0.2267)  6 F 2.01-2.08
F (0.7659, 0.7914, 0.8032)  1 Bi 2.08
F (0.7914, 0.7659, 0.1968)  1 Bi 2.08
F (0.7659, 0.2086, 0.8032)  1 Bi 2.08
F (0.5000, 0.0000, 0.0453)  1 Bi 2.01
Bi (0.5000, 0.0000, 0.7733)  6 F 2.01-2.08
Mg (0.0000, 0.0000, 0.0000)  8 F 2.40
F (0.0000, 0.5000, 0.4992)  1 Bi 2.02
F (0.2086, 0.2341, 0.1968)  1 Bi 2.08
F (0.5000, 0.0000, 0.5008)  1 Bi 2.02
F (0.2086, 0.7659, 0.1968)  1 Bi 2.08
F (0.2341, 0.7914, 0.8032)  1 Bi 2.08
F (0.2341, 0.2086, 0.8032)  1 Bi 2.08

- formation enthalpy at 0 K (eV per atom) = -2.33
- total energy (eV/cell) = -61.82
- total magnetization (μB per formula unit) = 0.00


An optimized crystal structure of MgBiF5. Source: the Materials Project, functional PBE-GGA.

abc: 5.7750 5.7750 8.4975
angles: 67.94 67.94 71.26
Closest atoms and distances in Å follow each position.
Fractional positions:
F (0.3090, 0.2292, 0.8555)  1 Mg 1.94
F (0.2292, 0.3090, 0.3555)  1 Mg 1.94
F (0.8393, 0.1626, 0.7469)  1 Mg 2.19, 2 Bi 2.39
Mg (0.4879, 0.5147, 0.2456)  4 F 1.94-1.98
F (0.7057, 0.3308, 0.0742)  1 Mg 1.94
F (0.6611, 0.3121, 0.4320)  1 Mg 1.98
F (0.3121, 0.6611, 0.9320)  1 Mg 1.98
Bi (0.0034, 0.9994, 0.9959)  6 F 2.24-2.39
Bi (0.9994, 0.0034, 0.4959)  6 F 2.24-2.39
F (0.6978, 0.7694, 0.1405)  1 Mg 1.94
Mg (0.5147, 0.4879, 0.7456)  4 F 1.94-1.98
F (0.7694, 0.6978, 0.6405)  1 Mg 1.94
F (0.3308, 0.7057, 0.5742)  1 Mg 1.94
F (0.1626, 0.8393, 0.2469)  1 Mg 2.19, 2 Bi 2.39

- formation enthalpy at 0 K (eV per atom) = -3.13
- total energy (eV/cell) = -69.27
- energy above the most stable polymorph in this dataset (meV/atom) = 26
- total magnetization (μB per formula unit) = 0.00


An optimized crystal structure of MgBiF5. Source: the Materials Project, functional PBE-GGA.

abc: 10.4617 5.3897 8.4243
angles: 76.49 90.00 90.00
Closest atoms and distances in Å follow each position.
Fractional positions:
F (0.0958, 0.6064, 0.3568)  1 Mg 1.98
F (0.0974, 0.6353, 0.9973)  2 Mg 2.04-2.10
F (0.1689, 0.7823, 0.6823)  1 Mg 2.26, 2 Bi 2.28-2.46
F (0.1349, 0.2424, 0.8230)  1 Mg 1.95
F (0.3311, 0.7823, 0.1823)  1 Mg 2.26, 2 Bi 2.28-2.46
Bi (0.2668, 0.9042, 0.8937)  6 F 2.21-2.46
F (0.4026, 0.6353, 0.4973)  2 Mg 2.04-2.10
Mg (0.9892, 0.4817, 0.1976)  5 F 1.95-2.10
F (0.8651, 0.7576, 0.1770)  1 Mg 1.95
F (0.3651, 0.2424, 0.3230)  1 Mg 1.95
Bi (0.7668, 0.0958, 0.6063)  6 F 2.21-2.46
Mg (0.4892, 0.5183, 0.3024)  5 F 1.95-2.10
Mg (0.5108, 0.4817, 0.6976)  5 F 1.95-2.10
F (0.5974, 0.3647, 0.5027)  2 Mg 2.04-2.10
F (0.5870, 0.8399, 0.2478)  1 Mg 1.97
F (0.6689, 0.2177, 0.8177)  1 Mg 2.26, 2 Bi 2.28-2.46
Bi (0.7332, 0.0958, 0.1063)  6 F 2.21-2.46
F (0.4042, 0.6064, 0.8568)  1 Mg 1.98
F (0.9130, 0.8399, 0.7478)  1 Mg 1.97
F (0.8311, 0.2177, 0.3177)  1 Mg 2.26, 2 Bi 2.28-2.46
Mg (0.0108, 0.5183, 0.8024)  5 F 1.95-2.10
F (0.9026, 0.3647, 0.0027)  2 Mg 2.04-2.10
F (0.4130, 0.1601, 0.7522)  1 Mg 1.97
Bi (0.2332, 0.9042, 0.3937)  6 F 2.21-2.46
F (0.0870, 0.1601, 0.2522)  1 Mg 1.97
F (0.5958, 0.3936, 0.1432)  1 Mg 1.98
F (0.9042, 0.3936, 0.6432)  1 Mg 1.98
F (0.6349, 0.7576, 0.6770)  1 Mg 1.95

- formation enthalpy at 0 K (eV per atom) = -3.15
- total energy (eV/cell) = -139.26
- energy above the most stable polymorph in this dataset (meV/atom) = 0
- total magnetization (μB per formula unit) = 0.00


formation enthalpy at 0 K of number 6 (Li2BiF5)? -2.92 eV per atom